Entry 1:
A relaxed structure of MgTe4Mo4Se2S2, computed with PBE.

Cell lengths 3.4000, 3.4004, 45.1377 Å; angles 90.00, 90.00, 120.00 degrees
Last column: nearest neighbours and their distance in Å.
Atoms (fractional coordinates):
Se1 0.6667 0.3334 0.0574  3 Mo 2.56
Se2 0.6668 0.3335 0.1304  3 Mo 2.56
S1 0.3334 0.6669 0.3093  3 Mo 2.48
S2 0.3334 0.6667 0.2426  3 Mo 2.46
Mo1 0.6667 0.3334 0.2755  6 S 2.46-2.48
Mo2 0.3334 0.6668 0.0939  6 Se 2.56
Mo3 0.6667 0.3334 0.6584  6 Te 2.71
Mo4 0.3332 0.6663 0.4744  6 Te 2.71-2.73
Te1 0.6665 0.3330 0.5158  3 Mo 2.71
Te2 0.3333 0.6667 0.6169  3 Mo 2.71
Te3 0.6665 0.3329 0.4325  3 Mo 2.73
Te4 0.3334 0.6668 0.6999  3 Mo 2.71
Mg1 0.0000 0.0001 0.3663  3 S 3.24, 6 Mg 3.40, 3 Te 3.58

Properties
ΔE to the lowest computed polymorph in eV per atom: 0.0088
Energy relative to the elements in eV/atom: -0.477
Energy in eV/cell: -78.02



Entry 2:
A relaxed structure of MgTe4Mo4Se2S2, computed with PBE.

Cell lengths 3.4159, 3.4159, 42.4258 Å; angles 90.15, 89.85, 120.00 degrees
Last column: nearest neighbours and their distance in Å.
Atoms (fractional coordinates):
S1 0.3316 0.6684 0.3127  3 Mo 2.48
S2 0.3327 0.6673 0.2422  3 Mo 2.46-2.47
Mo1 0.6668 0.3333 0.6575  6 Te 2.71-2.72
Mo2 0.6655 0.3345 0.2771  6 S 2.46-2.48
Mo3 0.3335 0.6665 0.4733  6 Se 2.56-2.57
Mo4 0.3333 0.6666 0.0939  6 Te 2.72
Se1 0.6660 0.3340 0.5119  3 Mo 2.56
Se2 0.6677 0.3322 0.4344  3 Mo 2.57
Te1 0.6656 0.3343 0.1380  3 Mo 2.72
Te2 0.3323 0.6678 0.7015  3 Mo 2.71-2.72
Te3 0.6676 0.3322 0.0499  3 Mo 2.72
Te4 0.3344 0.6657 0.6136  3 Mo 2.71
Mg1 0.6635 0.3366 0.3655  1 Se 2.93, 3 S 2.98-2.99

Properties
ΔE to the lowest computed polymorph in eV per atom: 0.0000
Energy relative to the elements in eV/atom: -0.486
Energy in eV/cell: -78.13



Entry 3:
A relaxed structure of MgTe4Mo4Se2S2, computed with PBE.

Cell lengths 3.3906, 3.3906, 38.6474 Å; angles 90.00, 90.00, 120.00 degrees
Last column: nearest neighbours and their distance in Å.
Atoms (fractional coordinates):
S1 0.6666 0.3333 0.4308  3 Mo 2.47
S2 0.6666 0.3333 0.5086  3 Mo 2.47
Mo1 0.6667 0.3334 0.6576  6 Te 2.71
Mo2 0.6667 0.3334 0.2818  6 Te 2.71
Mo3 0.3333 0.6666 0.4697  6 S 2.47
Mo4 0.3333 0.6666 0.0938  6 Se 2.56
Te1 0.3334 0.6667 0.2333  3 Mo 2.71
Te2 0.3334 0.6667 0.7060  3 Mo 2.71
Te3 0.3334 0.6667 0.3304  3 Mo 2.71
Te4 0.3334 0.6667 0.6090  3 Mo 2.71
Mg1 0.3380 0.6852 0.8818  6 Mg 3.39
Se1 0.6666 0.3333 0.1366  3 Mo 2.56
Se2 0.6666 0.3333 0.0512  3 Mo 2.56

Properties
ΔE to the lowest computed polymorph in eV per atom: 0.0346
Energy relative to the elements in eV/atom: -0.451
Energy in eV/cell: -77.68



Entry 4:
A relaxed structure of MgTe4Mo4Se2S2, computed with PBE.

Cell lengths 3.3902, 3.3901, 38.5039 Å; angles 90.00, 90.00, 120.00 degrees
Last column: nearest neighbours and their distance in Å.
Atoms (fractional coordinates):
S1 0.3334 0.6667 0.2427  3 Mo 2.47
S2 0.3334 0.6667 0.3208  3 Mo 2.47
Mo1 0.6667 0.3334 0.2818  6 S 2.47
Mo2 0.6667 0.3333 0.6576  6 Te 2.71
Mo3 0.3333 0.6666 0.4696  6 Se 2.56
Mo4 0.3332 0.6666 0.0939  6 Te 2.71
Se1 0.6667 0.3333 0.5124  3 Mo 2.56
Se2 0.6667 0.3332 0.4267  3 Mo 2.56
Te1 0.6666 0.3333 0.0452  3 Mo 2.71
Te2 0.6667 0.3333 0.1427  3 Mo 2.71
Te3 0.3333 0.6667 0.6088  3 Mo 2.71
Te4 0.3332 0.6666 0.7063  3 Mo 2.71
Mg1 0.3586 0.6629 0.8739  6 Mg 3.39

Properties
ΔE to the lowest computed polymorph in eV per atom: 0.0348
Energy relative to the elements in eV/atom: -0.451
Energy in eV/cell: -77.68



Entry 5:
A relaxed structure of MgTe4Mo4Se2S2, computed with PBE.

Cell lengths 3.3963, 3.3969, 45.9132 Å; angles 89.98, 89.98, 119.99 degrees
Last column: nearest neighbours and their distance in Å.
Atoms (fractional coordinates):
Mg1 0.9980 0.9971 0.1964  3 S 3.39-3.41, 6 Mg 3.40, 3 Te 3.70
Te1 0.6668 0.3336 0.0460  3 Mo 2.71
Te2 0.3334 0.6667 0.6170  3 Mo 2.71
Te3 0.3330 0.6664 0.6985  3 Mo 2.71
Te4 0.6666 0.3333 0.1280  3 Mo 2.72
S1 0.3334 0.6669 0.3222  3 Mo 2.46
S2 0.3350 0.6688 0.2568  3 Mo 2.47-2.48
Mo1 0.6671 0.3339 0.2897  6 S 2.46-2.48
Mo2 0.3333 0.6667 0.4697  6 Se 2.56
Mo3 0.3334 0.6669 0.0868  6 Te 2.71-2.72
Mo4 0.6665 0.3330 0.6578  6 Te 2.71
Se1 0.6669 0.3335 0.4338  3 Mo 2.56
Se2 0.6664 0.3332 0.5056  3 Mo 2.56

Properties
ΔE to the lowest computed polymorph in eV per atom: 0.0098
Energy relative to the elements in eV/atom: -0.476
Energy in eV/cell: -78.00



Entry 6:
A relaxed structure of MgTe4Mo4Se2S2, computed with PBE.

Cell lengths 3.4026, 3.4023, 42.6658 Å; angles 90.25, 89.86, 120.01 degrees
Last column: nearest neighbours and their distance in Å.
Atoms (fractional coordinates):
Te1 0.6664 0.3357 0.1377  3 Mo 2.72
Te2 0.3338 0.6643 0.6148  3 Mo 2.71
Te3 0.3334 0.6688 0.7026  3 Mo 2.71
Te4 0.6668 0.3315 0.0498  3 Mo 2.71-2.72
Mo1 0.3334 0.6664 0.4741  6 Se 2.56-2.58
Mo2 0.6669 0.3332 0.6587  6 Te 2.71
Mo3 0.3333 0.6668 0.0937  6 Te 2.71-2.72
Mo4 0.6664 0.3360 0.2765  6 S 2.46-2.48
S1 0.3332 0.6680 0.2416  3 Mo 2.46
S2 0.3329 0.6717 0.3121  3 Mo 2.48
Se1 0.6669 0.3312 0.4348  3 Mo 2.58
Se2 0.6665 0.3350 0.5125  3 Mo 2.56
Mg1 0.0000 0.9914 0.3713  3 S 3.17-3.23, 3 Se 3.34-3.35, 6 Mg 3.40

Properties
ΔE to the lowest computed polymorph in eV per atom: 0.0081
Energy relative to the elements in eV/atom: -0.478
Energy in eV/cell: -78.02